Here is crystalline Zn7Tc at its relaxed geometry from Materials Project. Energies are from r²SCAN.

Cell and atoms, written as POSCAR:
```
Zn7Tc
1.0
0.000 3.823 3.823
3.823 0.000 3.823
3.823 3.823 0.000
Zn Tc
7 1
Direct
0.000 0.000 0.000
0.000 0.000 0.500
0.000 0.500 0.000
0.000 0.500 0.500
0.500 0.000 0.000
0.500 0.000 0.500
0.500 0.500 0.000
0.500 0.500 0.500
```

Computed properties:
**Total DFT energy (no corrections)**: -88.755 eV for the cell shown
**SG**: Fm-3m, No. 225
**Formation energy**: -0.052 eV/atom

Here is crystalline ZrTc2 at its relaxed geometry from Materials Project. Energies are from r²SCAN.

Cell and atoms, written as POSCAR:
```
ZrTc2
1.0
2.602 -4.514 0.000
2.602 4.514 0.000
0.000 0.000 8.694
Zr Tc
4 8
Direct
0.167 0.833 0.562
0.167 0.833 0.938
0.833 0.167 0.062
0.833 0.167 0.438
0.156 0.328 0.750
0.328 0.156 0.250
0.328 0.672 0.250
0.500 0.500 0.000
0.500 0.500 0.500
0.672 0.328 0.750
0.672 0.844 0.750
0.844 0.672 0.250
```

Computed properties:
**Total DFT energy (no corrections)**: -303.064 eV for the cell shown
**SG**: Cmcm, No. 63
**Formation energy**: -0.362 eV/atom

Here is crystalline ThTe at its relaxed geometry from Materials Project. Energies are from r²SCAN.

Cell and atoms, written as POSCAR:
```
ThTe
1.0
3.867 0.000 0.000
0.000 3.867 0.000
0.000 0.000 3.867
Th Te
1 1
Direct
0.000 0.000 0.000
0.500 0.500 0.500
```

Computed properties:
**Total DFT energy (no corrections)**: -101.356 eV for the cell shown
**SG**: Pm-3m, No. 221
**Formation energy**: -1.232 eV/atom

Here is crystalline ThTe3 at its relaxed geometry from Materials Project. Energies are from r²SCAN.

Cell and atoms, written as POSCAR:
```
ThTe3
1.0
6.299 0.000 0.000
0.000 4.443 0.000
-1.442 0.000 10.632
Th Te
2 6
Direct
0.215 0.250 0.344
0.785 0.750 0.656
0.048 0.250 0.827
0.265 0.750 0.562
0.387 0.750 0.166
0.613 0.250 0.834
0.735 0.250 0.438
0.952 0.750 0.173
```

Computed properties:
**Total DFT energy (no corrections)**: -308.751 eV for the cell shown
**SG**: P2_1/m, No. 11
**Formation energy**: -1.162 eV/atom

Here is crystalline TiTe2 at its relaxed geometry from Materials Project. Energies are from r²SCAN.

Cell and atoms, written as POSCAR:
```
TiTe2
1.0
3.824 0.000 0.000
-1.912 3.312 0.000
0.000 0.000 6.718
Ti Te
1 2
Direct
0.000 0.000 0.000
0.333 0.667 0.250
0.667 0.333 0.750
```

Computed properties:
**Total DFT energy (no corrections)**: -66.246 eV for the cell shown
**SG**: P-3m1, No. 164
**Formation energy**: -0.824 eV/atom

Here is crystalline Ti5Te4 at its relaxed geometry from Materials Project. Energies are from r²SCAN.

Cell and atoms, written as POSCAR:
```
Ti5Te4
1.0
-5.099 5.099 1.879
5.099 -5.099 1.879
5.099 5.099 -1.879
Ti Te
5 4
Direct
0.000 0.000 0.000
0.314 0.621 0.935
0.379 0.314 0.693
0.621 0.686 0.307
0.686 0.379 0.065
0.060 0.722 0.782
0.278 0.060 0.338
0.722 0.940 0.662
0.940 0.278 0.218
```

Computed properties:
**Total DFT energy (no corrections)**: -173.178 eV for the cell shown
**SG**: I4/m, No. 87
**Formation energy**: -0.758 eV/atom